Below is a relaxed UP2S6 crystal, with properties calculated at the r²SCAN level. Values from VASP.

Output
SG: P4_2/m (84)
Energy of formation in eV/atom: -0.813
Crystal system: tetragonal
E_tot in eV/cell: -306.9

Geometry as Quantum ESPRESSO input:
```
&SYSTEM
  ibrav = 0, nat = 18, ntyp = 3
/
ATOMIC_SPECIES
U 238.03 U.upf
P 30.97 P.upf
S 32.06 S.upf
ATOMIC_POSITIONS angstrom
U 0.000 0.000 2.439
U 0.000 0.000 7.316
P 0.411 2.425 0.000
P 2.425 6.558 4.877
P 4.544 0.411 4.877
P 6.558 4.544 0.000
S 1.205 1.219 4.877
S 1.219 5.764 0.000
S 1.462 2.219 1.696
S 1.462 2.219 8.059
S 2.219 5.507 3.182
S 2.219 5.507 6.573
S 4.750 1.462 3.182
S 4.750 1.462 6.573
S 5.507 4.750 1.696
S 5.507 4.750 8.059
S 5.750 1.205 0.000
S 5.764 5.750 4.877
CELL_PARAMETERS angstrom
6.969 0.000 0.000
0.000 6.969 0.000
0.000 0.000 9.754
```